No. 1
! PBE NaBO7, relaxed; values from VASP
! Magnetic moment: 0.002 Bohr magnetons per cell
! Energy relative to the elements: -0.63 eV per atom
! Space-group type: P-1 (2)
&SYSTEM
  ibrav = 0, nat = 18, ntyp = 3
/
ATOMIC_SPECIES
Na 22.99 Na.upf
B 10.81 B.upf
O 16.00 O.upf
ATOMIC_POSITIONS crystal
Na 0.000 0.000 0.000
Na 0.000 0.500 0.000
B 0.956 0.247 0.321
B 0.044 0.753 0.679
O 0.841 0.983 0.586
O 0.159 0.017 0.414
O 0.675 0.520 0.443
O 0.325 0.480 0.557
O 0.432 0.222 0.664
O 0.568 0.778 0.336
O 0.732 0.969 0.653
O 0.268 0.031 0.347
O 0.703 0.295 0.153
O 0.297 0.705 0.847
O 0.746 0.007 0.092
O 0.254 0.993 0.908
O 0.739 0.206 0.279
O 0.261 0.794 0.721
CELL_PARAMETERS angstrom
-4.245 1.749 -7.415
-0.029 -6.007 6.824
2.478 6.824 5.363


No. 2
! PBE RbNaTiO3, relaxed; values from VASP
! Magnetic moment: 0.000 Bohr magnetons per cell
! Energy relative to the elements: -2.78 eV per atom
! Space-group type: C2/c (15)
&SYSTEM
  ibrav = 0, nat = 12, ntyp = 4
/
ATOMIC_SPECIES
Rb 85.47 Rb.upf
Na 22.99 Na.upf
Ti 47.87 Ti.upf
O 16.00 O.upf
ATOMIC_POSITIONS crystal
Rb 0.733 0.267 0.750
Rb 0.267 0.733 0.250
Na 0.425 0.575 0.750
Na 0.575 0.425 0.250
Ti 0.948 0.052 0.250
Ti 0.052 0.948 0.750
O 0.777 0.795 0.998
O 0.205 0.223 0.502
O 0.790 0.210 0.250
O 0.223 0.205 0.002
O 0.795 0.777 0.498
O 0.210 0.790 0.750
CELL_PARAMETERS angstrom
5.594 2.976 0.000
-5.594 2.976 0.000
0.000 0.261 5.580


No. 3
! PBE La3Si2S8Cl, relaxed; values from VASP
! Energy relative to the elements: -1.94 eV per atom
! Space-group type: C2/c (15)
&SYSTEM
  ibrav = 0, nat = 28, ntyp = 4
/
ATOMIC_SPECIES
La 138.91 La.upf
Si 28.09 Si.upf
S 32.06 S.upf
Cl 35.45 Cl.upf
ATOMIC_POSITIONS crystal
La 0.073 0.311 0.815
La 0.689 0.927 0.685
La 0.311 0.073 0.315
La 0.618 0.382 0.250
La 0.927 0.689 0.185
La 0.382 0.618 0.750
Si 0.371 0.308 0.030
Si 0.629 0.692 0.970
Si 0.692 0.629 0.470
Si 0.308 0.371 0.530
S 0.720 0.411 0.949
S 0.441 0.262 0.841
S 0.894 0.400 0.358
S 0.400 0.894 0.858
S 0.738 0.559 0.659
S 0.280 0.589 0.051
S 0.858 0.709 0.915
S 0.262 0.441 0.341
S 0.589 0.280 0.551
S 0.291 0.142 0.585
S 0.142 0.291 0.085
S 0.411 0.720 0.449
S 0.709 0.858 0.415
S 0.600 0.106 0.142
S 0.106 0.600 0.642
S 0.559 0.738 0.159
Cl 0.004 0.996 0.750
Cl 0.996 0.004 0.250
CELL_PARAMETERS angstrom
3.914 7.912 0.000
-3.914 7.912 0.000
0.000 1.350 11.009


No. 4
! PBE Na3AlH6, relaxed; values from VASP
! Magnetic moment: 0.000 Bohr magnetons per cell
! Energy relative to the elements: -0.26 eV per atom
! Space-group type: Pbcm (57)
&SYSTEM
  ibrav = 0, nat = 80, ntyp = 3
/
ATOMIC_SPECIES
Na 22.99 Na.upf
Al 26.98 Al.upf
H 1.01 H.upf
ATOMIC_POSITIONS crystal
Na 0.302 0.089 0.347
Na 0.745 0.583 0.948
Na 0.190 0.749 0.835
Na 0.255 0.417 0.052
Na 0.810 0.251 0.335
Na 0.302 0.411 0.653
Na 0.255 0.083 0.948
Na 0.698 0.911 0.847
Na 0.810 0.251 0.165
Na 0.698 0.589 0.153
Na 0.745 0.917 0.052
Na 0.698 0.589 0.347
Na 0.810 0.249 0.835
Na 0.810 0.249 0.665
Na 0.190 0.751 0.165
Na 0.255 0.083 0.552
Na 0.698 0.911 0.653
Na 0.745 0.917 0.448
Na 0.302 0.089 0.153
Na 0.255 0.417 0.448
Na 0.302 0.411 0.847
Na 0.190 0.749 0.665
Na 0.745 0.583 0.552
Na 0.190 0.751 0.335
Al 0.783 0.250 0.000
Al 0.783 0.250 0.500
Al 0.742 0.577 0.750
Al 0.217 0.750 0.500
Al 0.742 0.923 0.250
Al 0.258 0.077 0.750
Al 0.217 0.750 0.000
Al 0.258 0.423 0.250
H 0.978 0.812 0.561
H 0.221 0.588 0.950
H 0.950 0.972 0.179
H 0.050 0.472 0.321
H 0.779 0.412 0.450
H 0.440 0.673 0.439
H 0.221 0.912 0.450
H 0.136 0.242 0.250
H 0.022 0.312 0.939
H 0.617 0.101 0.250
H 0.022 0.188 0.439
H 0.950 0.528 0.821
H 0.383 0.899 0.750
H 0.465 0.375 0.178
H 0.779 0.088 0.550
H 0.465 0.125 0.678
H 0.465 0.125 0.822
H 0.535 0.625 0.822
H 0.050 0.028 0.821
H 0.864 0.758 0.750
H 0.864 0.742 0.250
H 0.560 0.327 0.561
H 0.440 0.673 0.061
H 0.978 0.688 0.061
H 0.950 0.972 0.321
H 0.560 0.327 0.939
H 0.136 0.258 0.750
H 0.617 0.399 0.750
H 0.978 0.688 0.439
H 0.440 0.827 0.939
H 0.560 0.173 0.061
H 0.535 0.875 0.322
H 0.050 0.028 0.679
H 0.535 0.625 0.678
H 0.535 0.875 0.178
H 0.779 0.088 0.950
H 0.950 0.528 0.679
H 0.440 0.827 0.561
H 0.022 0.312 0.561
H 0.383 0.601 0.250
H 0.022 0.188 0.061
H 0.221 0.912 0.050
H 0.779 0.412 0.050
H 0.050 0.472 0.179
H 0.560 0.173 0.439
H 0.465 0.375 0.322
H 0.221 0.588 0.550
H 0.978 0.812 0.939
CELL_PARAMETERS angstrom
5.468 0.000 0.000
0.000 9.224 0.000
0.000 0.000 17.773


No. 5
! PBE Pr2SnS5, relaxed; values from VASP
! Energy relative to the elements: -1.74 eV per atom
! Space-group type: Pbam (55)
&SYSTEM
  ibrav = 0, nat = 16, ntyp = 3
/
ATOMIC_SPECIES
Pr 140.91 Pr.upf
Sn 118.71 Sn.upf
S 32.06 S.upf
ATOMIC_POSITIONS crystal
Pr 0.500 0.434 0.170
Pr 0.500 0.066 0.670
Pr 0.500 0.566 0.830
Pr 0.500 0.934 0.330
Sn 0.000 0.500 0.500
Sn 0.000 0.000 0.000
S 0.000 0.350 0.702
S 0.000 0.150 0.202
S 0.000 0.000 0.500
S 0.500 0.814 0.075
S 0.000 0.500 0.000
S 0.000 0.650 0.298
S 0.500 0.314 0.425
S 0.500 0.686 0.575
S 0.500 0.186 0.925
S 0.000 0.850 0.798
CELL_PARAMETERS angstrom
3.998 0.000 0.000
0.000 7.912 0.000
0.000 0.000 11.355


No. 6
! PBE Tm7Mg3Ge8, relaxed; values from VASP
! Magnetic moment: 0.001 Bohr magnetons per cell
! Energy relative to the elements: -0.71 eV per atom
! Space-group type: P2_1 (4)
&SYSTEM
  ibrav = 0, nat = 36, ntyp = 3
/
ATOMIC_SPECIES
Tm 168.93 Tm.upf
Mg 24.30 Mg.upf
Ge 72.64 Ge.upf
ATOMIC_POSITIONS crystal
Tm 0.507 0.934 0.844
Tm 0.007 0.066 0.156
Tm 0.491 0.567 0.344
Tm 0.991 0.433 0.656
Tm 0.493 0.567 0.656
Tm 0.993 0.433 0.344
Tm 0.508 0.934 0.155
Tm 0.008 0.066 0.845
Tm 0.330 0.073 0.376
Tm 0.830 0.927 0.624
Tm 0.332 0.074 0.624
Tm 0.832 0.926 0.376
Tm 0.669 0.429 0.122
Tm 0.169 0.571 0.878
Mg 0.840 0.764 0.000
Mg 0.340 0.236 0.000
Mg 0.162 0.735 0.500
Mg 0.662 0.265 0.500
Mg 0.670 0.427 0.875
Mg 0.170 0.573 0.125
Ge 0.711 0.110 0.000
Ge 0.211 0.890 0.000
Ge 0.290 0.390 0.500
Ge 0.790 0.610 0.500
Ge 0.671 0.217 0.714
Ge 0.171 0.783 0.286
Ge 0.327 0.286 0.212
Ge 0.827 0.714 0.788
Ge 0.329 0.285 0.787
Ge 0.829 0.715 0.213
Ge 0.672 0.216 0.286
Ge 0.172 0.784 0.714
Ge 0.472 0.656 0.000
Ge 0.972 0.344 0.000
Ge 0.525 0.843 0.500
Ge 0.025 0.157 0.500
CELL_PARAMETERS angstrom
-1.260 4.769 5.091
4.284 -4.109 4.909
11.632 7.345 -4.001


No. 7
! PBE GePb2Se4O12, relaxed; values from VASP
! Magnetic moment: 0.004 Bohr magnetons per cell
! Energy relative to the elements: -1.48 eV per atom
! Space-group type: P2_1/c (14)
&SYSTEM
  ibrav = 0, nat = 38, ntyp = 4
/
ATOMIC_SPECIES
Ge 72.64 Ge.upf
Pb 207.20 Pb.upf
Se 78.96 Se.upf
O 16.00 O.upf
ATOMIC_POSITIONS crystal
Ge 0.000 0.000 0.500
Ge 0.500 0.000 0.000
Pb 0.237 0.537 0.596
Pb 0.737 0.463 0.904
Pb 0.763 0.463 0.404
Pb 0.263 0.537 0.096
Se 0.188 0.840 0.794
Se 0.688 0.160 0.706
Se 0.812 0.160 0.206
Se 0.312 0.840 0.294
Se 0.187 0.238 0.869
Se 0.687 0.762 0.631
Se 0.813 0.762 0.131
Se 0.313 0.238 0.369
O 0.381 0.967 0.823
O 0.881 0.033 0.677
O 0.619 0.033 0.177
O 0.119 0.967 0.323
O 0.193 0.871 0.607
O 0.693 0.129 0.893
O 0.807 0.129 0.393
O 0.307 0.871 0.107
O 0.309 0.676 0.813
O 0.809 0.324 0.687
O 0.691 0.324 0.187
O 0.191 0.676 0.313
O 0.361 0.347 0.775
O 0.861 0.653 0.725
O 0.639 0.653 0.225
O 0.139 0.347 0.275
O 0.061 0.371 0.952
O 0.561 0.629 0.548
O 0.939 0.629 0.048
O 0.439 0.371 0.452
O 0.331 0.168 0.017
O 0.831 0.832 0.483
O 0.669 0.832 0.983
O 0.169 0.168 0.517
CELL_PARAMETERS angstrom
-0.728 6.657 0.974
-2.559 -1.545 8.648
8.685 0.398 3.771


No. 8
! PBE Tb2Si3Rh, relaxed; values from VASP
! Energy relative to the elements: -0.94 eV per atom
! Space-group type: P6_3/mmc (194)
&SYSTEM
  ibrav = 0, nat = 24, ntyp = 3
/
ATOMIC_SPECIES
Tb 158.93 Tb.upf
Si 28.09 Si.upf
Rh 102.91 Rh.upf
ATOMIC_POSITIONS crystal
Tb 0.000 0.000 0.750
Tb 0.507 0.015 0.250
Tb 0.507 0.493 0.250
Tb 0.000 0.000 0.250
Tb 0.985 0.493 0.250
Tb 0.493 0.985 0.750
Tb 0.493 0.507 0.750
Tb 0.015 0.507 0.750
Si 0.833 0.167 0.500
Si 0.833 0.667 0.500
Si 0.333 0.167 0.500
Si 0.167 0.333 0.500
Si 0.333 0.167 0.000
Si 0.833 0.167 0.000
Si 0.833 0.667 0.000
Si 0.167 0.333 0.000
Si 0.667 0.833 0.000
Si 0.667 0.833 0.500
Si 0.167 0.833 0.500
Si 0.167 0.833 0.000
Rh 0.667 0.333 0.530
Rh 0.333 0.667 0.470
Rh 0.667 0.333 0.970
Rh 0.333 0.667 0.030
CELL_PARAMETERS angstrom
1.883 0.946 -7.914
-7.448 2.062 2.711
2.591 7.386 1.499